# 1
The following is a DFT calculation (meta-GGA r2SCAN) of a relaxed structure of Ag2Se.

Results
Theoretical density, kg/m³: 8113
Final energy, eV/atom: -19.139
Energy of formation, meV/atom: -131.0
M_tot, μB per atom: 0.000

Cell and atoms, written as POSCAR:
```
Ag2Se
1.0
-2.308 -3.051 2.271
5.240 -4.662 -0.937
3.273 2.371 6.511
Ag Se
8 4
Direct
0.983 0.730 0.624 Ag
0.017 0.230 0.876 Ag
0.810 0.119 0.444 Ag
0.310 0.381 0.556 Ag
0.483 0.770 0.376 Ag
0.690 0.881 0.944 Ag
0.190 0.619 0.056 Ag
0.517 0.270 0.124 Ag
0.879 0.494 0.336 Se
0.121 0.994 0.164 Se
0.621 0.506 0.836 Se
0.379 0.006 0.664 Se
```

---

# 2
The following is a DFT calculation (meta-GGA r2SCAN) of a relaxed structure of ZnCr2F12.

Results
Theoretical density, kg/m³: 3614
Final energy, eV/atom: -7.491
Energy of formation, meV/atom: -2386.8
M_tot, μB per atom: 0.133

Cell and atoms, written as POSCAR:
```
ZnCr2F12
1.0
-3.349 -3.604 1.767
-4.956 -6.901 -6.086
0.929 -5.174 0.019
F Zn Cr
12 1 2
Direct
0.607 0.633 0.859 F
0.271 0.431 0.605 F
0.732 0.071 0.394 F
0.135 0.700 0.732 F
0.406 0.862 0.139 F
0.868 0.796 0.275 F
0.132 0.204 0.725 F
0.268 0.929 0.606 F
0.729 0.569 0.395 F
0.865 0.300 0.268 F
0.393 0.367 0.141 F
0.594 0.138 0.861 F
0.000 0.500 0.000 Zn
0.498 0.239 0.515 Cr
0.502 0.761 0.485 Cr
```

---

# 3
The following is a DFT calculation (meta-GGA r2SCAN) of a relaxed structure of CeNdHg2.

Results
Theoretical density, kg/m³: 10150
Final energy, eV/atom: -40.261
Energy of formation, meV/atom: -512.2
M_tot, μB per atom: 0.072

Cell and atoms, written as POSCAR:
```
CeNdHg2
1.0
0.000 3.828 3.828
3.828 0.000 3.828
3.828 3.828 0.000
Hg Nd Ce
2 1 1
Direct
0.750 0.750 0.750 Hg
0.250 0.250 0.250 Hg
0.000 0.000 0.000 Nd
0.500 0.500 0.500 Ce
```

---

# 4
The following is a DFT calculation (meta-GGA r2SCAN) of a relaxed structure of YbAl8Cu4.

Results
Theoretical density, kg/m³: 5549
Final energy, eV/atom: -10.623
Energy of formation, meV/atom: -332.8
M_tot, μB per atom: 0.000

Cell and atoms, written as POSCAR:
```
YbAl8Cu4
1.0
0.480 -4.948 -4.440
-2.967 0.794 5.916
-3.843 4.119 -3.563
Al Cu Yb
8 4 1
Direct
0.000 0.652 0.652 Al
0.348 0.000 0.348 Al
0.000 0.348 0.348 Al
0.652 0.000 0.652 Al
0.282 0.500 0.782 Al
0.500 0.282 0.782 Al
0.500 0.718 0.218 Al
0.718 0.500 0.218 Al
0.500 0.000 0.000 Cu
0.000 0.500 0.000 Cu
0.500 0.500 0.500 Cu
0.000 0.000 0.500 Cu
0.000 0.000 0.000 Yb
```

---

# 5
The following is a DFT calculation (meta-GGA r2SCAN) of a relaxed structure of MgInBr3.

Results
Theoretical density, kg/m³: 4310
Final energy, eV/atom: -14.637
Energy of formation, meV/atom: -1331.9
M_tot, μB per atom: 0.000

Cell and atoms, written as POSCAR:
```
MgInBr3
1.0
-0.673 3.869 0.486
-0.811 -1.325 9.421
15.173 2.432 1.648
In Br Mg
4 12 4
Direct
0.750 0.025 0.825 In
0.750 0.525 0.675 In
0.250 0.475 0.325 In
0.250 0.975 0.175 In
0.750 0.326 0.498 Br
0.750 0.225 0.207 Br
0.750 0.978 0.601 Br
0.750 0.478 0.899 Br
0.250 0.522 0.101 Br
0.250 0.674 0.502 Br
0.250 0.775 0.793 Br
0.250 0.022 0.399 Br
0.250 0.174 0.998 Br
0.750 0.826 0.002 Br
0.750 0.725 0.293 Br
0.250 0.275 0.707 Br
0.750 0.339 0.053 Mg
0.250 0.161 0.553 Mg
0.250 0.661 0.947 Mg
0.750 0.839 0.447 Mg
```

---

# 6
The following is a DFT calculation (meta-GGA r2SCAN) of a relaxed structure of Mg7Bi.

Results
Theoretical density, kg/m³: 3356
Final energy, eV/atom: -10.982
Energy of formation, meV/atom: -21.1
M_tot, μB per atom: 0.000

Cell and atoms, written as POSCAR:
```
Mg7Bi
1.0
3.260 2.810 -4.683
-4.966 2.968 2.644
3.259 2.237 3.610
Mg Bi
7 1
Direct
0.667 0.333 0.000 Mg
0.661 0.831 0.000 Mg
0.999 0.499 0.500 Mg
0.501 0.001 0.500 Mg
0.169 0.339 0.000 Mg
0.169 0.831 0.000 Mg
0.501 0.499 0.500 Mg
0.000 0.000 0.500 Bi
```

---

# 7
The following is a DFT calculation (meta-GGA r2SCAN) of a relaxed structure of Pa2SbTe.

Results
Theoretical density, kg/m³: 10791
Final energy, eV/atom: -51.907
Energy of formation, meV/atom: -697.8
M_tot, μB per atom: 1.133

Cell and atoms, written as POSCAR:
```
Pa2SbTe
1.0
4.652 1.897 1.894
0.100 2.747 4.613
2.207 -2.187 4.379
Pa Te Sb
2 1 1
Direct
0.500 0.500 0.500 Pa
0.000 0.000 0.000 Pa
0.750 0.750 0.750 Te
0.250 0.250 0.250 Sb
```

---

# 8
The following is a DFT calculation (meta-GGA r2SCAN) of a relaxed structure of NdRh.

Results
Theoretical density, kg/m³: 9012
Final energy, eV/atom: -27.505
Energy of formation, meV/atom: -728.0
M_tot, μB per atom: 0.000

Cell and atoms, written as POSCAR:
```
NdRh
1.0
0.628 2.460 -3.014
-2.122 -2.578 -2.546
-4.354 3.890 -0.310
Nd Rh
2 2
Direct
0.859 0.250 0.282 Nd
0.141 0.750 0.718 Nd
0.585 0.250 0.831 Rh
0.415 0.750 0.169 Rh
```